DFT (PBE) results for a relaxed YSe2 crystal.

Cell lengths 4.0928, 5.7052, 13.4201 Å; angles 90.00, 90.00, 90.00 degrees
Last column: nearest neighbours and their distance in Å.
Space group Immm (No. 71)
One atom of each set of equivalent atoms:
Y 0.0000 0.0000 0.1503 (multiplicity 4)  8 Se 2.80-3.12
Se 0.0000 0.2881 0.5000 (multiplicity 4)  1 Se 2.42
Se 0.0000 0.5000 0.2070 (multiplicity 4)  4 Y 2.80-2.95

As for the formation energy: -1.855 eV per atom.